This record from the Materials Project describes an optimized crystal structure of SrMnSe2O6. The functional is PBE+U.

* V: 663 Å³ per cell
* calculated formation energy: -1.999 eV per atom
* M_tot: 5.00 μB per formula unit

Lattice parameters (Å, degrees): 4.504 15.093 10.471 90.00 111.29 90.00
Atoms (fractional coordinates):
Sr: 0.207 0.117 0.465
Sr: 0.207 0.383 0.965
Sr: 0.793 0.617 0.035
Sr: 0.793 0.883 0.535
Mn: 0.015 0.153 0.791
Mn: 0.015 0.347 0.291
Mn: 0.985 0.653 0.709
Mn: 0.985 0.847 0.209
Se: 0.143 0.701 0.422
Se: 0.143 0.799 0.922
Se: 0.456 0.000 0.219
Se: 0.456 0.500 0.719
Se: 0.544 0.000 0.781
Se: 0.544 0.500 0.281
Se: 0.857 0.201 0.078
Se: 0.857 0.299 0.578
O: 0.071 0.510 0.715
O: 0.071 0.990 0.215
O: 0.090 0.204 0.250
O: 0.090 0.296 0.750
O: 0.129 0.200 0.996
O: 0.129 0.300 0.496
O: 0.227 0.685 0.933
O: 0.227 0.815 0.433
O: 0.347 0.532 0.112
O: 0.347 0.968 0.612
O: 0.462 0.115 0.770
O: 0.462 0.385 0.270
O: 0.538 0.615 0.730
O: 0.538 0.885 0.230
O: 0.653 0.032 0.388
O: 0.653 0.468 0.888
O: 0.773 0.185 0.567
O: 0.773 0.315 0.067
O: 0.871 0.700 0.504
O: 0.871 0.800 0.004
O: 0.910 0.704 0.250
O: 0.910 0.796 0.750
O: 0.929 0.010 0.785
O: 0.929 0.490 0.285

***

This record from the Materials Project describes an optimized crystal structure of Li5NiOF5. The functional is PBE+U.

* V: 266 Å³ per cell
* calculated formation energy: -2.766 eV per atom
* M_tot: 0.00 μB per formula unit
* largest piezoelectric modulus: 1.0 C/m²
* ΔE to the lowest computed polymorph: 0.042 eV/atom

Lattice parameters (Å, degrees): 3.177 5.490 15.239 90.04 89.97 89.97
Atoms (fractional coordinates):
F: 0.500 0.833 0.786
Li: 0.500 0.833 0.338
F: 0.501 0.832 0.140
F: 0.000 0.666 0.301
F: 0.500 0.833 0.462
Ni: 0.499 0.836 0.991
Li: 0.000 0.333 0.338
O: 0.999 0.667 0.956
Li: 0.500 0.833 0.662
Ni: 0.999 0.335 0.991
F: 0.000 0.667 0.624
Li: 0.500 0.167 0.500
F: 0.500 0.166 0.301
F: 0.000 0.332 0.140
Li: 0.500 0.167 0.825
F: 0.500 0.166 0.624
Li: 0.500 0.166 0.177
O: 0.499 0.168 0.955
Li: 0.000 0.333 0.662
Li: 0.000 0.666 0.177
F: 0.000 0.333 0.462
Li: 0.000 0.667 0.825
Li: 0.000 0.667 0.500
F: 0.000 0.333 0.786

***

This record from the Materials Project describes an optimized crystal structure of FeSb2C6O6F12. The functional is PBE+U.

* V: 887 Å³ per cell
* calculated formation energy: -1.775 eV per atom
* M_tot: 0.00 μB per formula unit

Lattice parameters (Å, degrees): 8.377 8.377 12.643 90.00 90.00 90.00
Atoms (fractional coordinates):
Fe: 0.000 0.000 0.000
Fe: 0.500 0.500 0.500
Sb: 0.000 0.500 0.250
Sb: 0.000 0.500 0.750
Sb: 0.500 0.000 0.250
Sb: 0.500 0.000 0.750
C: 0.000 0.000 0.148
C: 0.000 0.000 0.852
C: 0.119 0.190 0.000
C: 0.190 0.881 0.000
C: 0.310 0.381 0.500
C: 0.381 0.690 0.500
C: 0.500 0.500 0.352
C: 0.500 0.500 0.648
C: 0.619 0.310 0.500
C: 0.690 0.619 0.500
C: 0.810 0.119 0.000
C: 0.881 0.810 0.000
O: 0.000 0.000 0.238
O: 0.000 0.000 0.762
O: 0.190 0.305 0.000
O: 0.195 0.310 0.500
O: 0.305 0.810 0.000
O: 0.310 0.805 0.500
O: 0.500 0.500 0.262
O: 0.500 0.500 0.738
O: 0.690 0.195 0.500
O: 0.695 0.190 0.000
O: 0.805 0.690 0.500
O: 0.810 0.695 0.000
F: 0.108 0.620 0.142
F: 0.108 0.620 0.858
F: 0.120 0.608 0.358
F: 0.120 0.608 0.642
F: 0.162 0.338 0.250
F: 0.162 0.338 0.750
F: 0.338 0.838 0.250
F: 0.338 0.838 0.750
F: 0.380 0.108 0.142
F: 0.380 0.108 0.858
F: 0.392 0.120 0.358
F: 0.392 0.120 0.642
F: 0.608 0.880 0.358
F: 0.608 0.880 0.642
F: 0.620 0.892 0.142
F: 0.620 0.892 0.858
F: 0.662 0.162 0.250
F: 0.662 0.162 0.750
F: 0.838 0.662 0.250
F: 0.838 0.662 0.750
F: 0.880 0.392 0.358
F: 0.880 0.392 0.642
F: 0.892 0.380 0.142
F: 0.892 0.380 0.858

***

This record from the Materials Project describes an optimized crystal structure of Li5Mn2P2C2O14. The functional is PBE+U.

* V: 556 Å³ per cell
* calculated formation energy: -2.371 eV per atom
* M_tot: 9.00 μB per formula unit
* ΔE to the lowest computed polymorph: 0.007 eV/atom

Lattice parameters (Å, degrees): 8.180 8.216 8.534 92.20 92.71 103.46
Atoms (fractional coordinates):
Li: 0.011 0.256 0.402
Li: 0.139 0.117 0.749
Li: 0.153 0.639 0.250
Li: 0.377 0.890 0.744
Li: 0.383 0.393 0.252
Li: 0.617 0.607 0.748
Li: 0.623 0.110 0.256
Li: 0.847 0.361 0.750
Li: 0.861 0.883 0.251
Li: 0.989 0.744 0.598
Mn: 0.229 0.479 0.846
Mn: 0.271 0.023 0.156
Mn: 0.729 0.977 0.844
Mn: 0.771 0.521 0.154
P: 0.015 0.760 0.912
P: 0.489 0.737 0.079
P: 0.511 0.263 0.921
P: 0.985 0.240 0.088
C: 0.226 0.971 0.453
C: 0.261 0.504 0.544
C: 0.739 0.496 0.456
C: 0.774 0.029 0.547
O: 0.036 0.298 0.922
O: 0.065 0.618 0.811
O: 0.132 0.873 0.339
O: 0.133 0.206 0.191
O: 0.137 0.386 0.581
O: 0.162 0.918 0.931
O: 0.190 0.939 0.598
O: 0.292 0.539 0.403
O: 0.332 0.586 0.078
O: 0.343 0.092 0.416
O: 0.355 0.303 0.830
O: 0.356 0.593 0.663
O: 0.460 0.892 0.169
O: 0.471 0.230 0.095
O: 0.529 0.770 0.905
O: 0.540 0.108 0.831
O: 0.644 0.407 0.337
O: 0.645 0.697 0.170
O: 0.657 0.908 0.584
O: 0.668 0.414 0.922
O: 0.708 0.461 0.597
O: 0.810 0.061 0.402
O: 0.838 0.082 0.069
O: 0.863 0.614 0.419
O: 0.867 0.794 0.809
O: 0.868 0.127 0.661
O: 0.935 0.382 0.189
O: 0.964 0.702 0.078

***

This record from the Materials Project describes an optimized crystal structure of Li3MnB2O6. The functional is PBE+U.

* V: 480 Å³ per cell
* calculated formation energy: -2.453 eV per atom
* M_tot: 4.00 μB per formula unit
* ΔE to the lowest computed polymorph: 0.079 eV/atom

Lattice parameters (Å, degrees): 6.128 8.037 10.936 90.00 117.02 90.00
Atoms (fractional coordinates):
Li: 0.128 0.050 0.398
Li: 0.128 0.450 0.898
Li: 0.159 0.205 0.132
Li: 0.159 0.295 0.632
Li: 0.308 0.713 0.355
Li: 0.308 0.787 0.855
Li: 0.692 0.213 0.145
Li: 0.692 0.287 0.645
Li: 0.841 0.705 0.368
Li: 0.841 0.795 0.868
Li: 0.872 0.550 0.102
Li: 0.872 0.950 0.602
Mn: 0.433 0.592 0.620
Mn: 0.433 0.908 0.120
Mn: 0.567 0.092 0.880
Mn: 0.567 0.408 0.380
B: 0.064 0.138 0.851
B: 0.064 0.362 0.351
B: 0.372 0.570 0.131
B: 0.372 0.930 0.631
B: 0.628 0.070 0.369
B: 0.628 0.430 0.869
B: 0.936 0.638 0.649
B: 0.936 0.862 0.149
O: 0.038 0.232 0.266
O: 0.038 0.268 0.766
O: 0.120 0.589 0.618
O: 0.120 0.911 0.118
O: 0.255 0.077 0.592
O: 0.255 0.423 0.092
O: 0.283 0.045 0.913
O: 0.283 0.455 0.413
O: 0.374 0.686 0.036
O: 0.374 0.814 0.536
O: 0.497 0.614 0.271
O: 0.497 0.886 0.771
O: 0.503 0.114 0.229
O: 0.503 0.386 0.729
O: 0.626 0.186 0.464
O: 0.626 0.314 0.964
O: 0.717 0.545 0.587
O: 0.717 0.955 0.087
O: 0.745 0.577 0.908
O: 0.745 0.923 0.408
O: 0.880 0.089 0.882
O: 0.880 0.411 0.382
O: 0.962 0.732 0.234
O: 0.962 0.768 0.734

***

This record from the Materials Project describes an optimized crystal structure of V3P2O11. The functional is PBE+U.

* V: 867 Å³ per cell
* calculated formation energy: -2.510 eV per atom
* M_tot: 3.00 μB per formula unit

Lattice parameters (Å, degrees): 11.994 7.422 9.916 90.00 100.78 90.00
Atoms (fractional coordinates):
V: 0.164 0.202 0.012
V: 0.164 0.298 0.512
V: 0.265 0.638 0.934
V: 0.265 0.862 0.434
V: 0.320 0.186 0.820
V: 0.320 0.314 0.320
V: 0.680 0.686 0.680
V: 0.680 0.814 0.180
V: 0.735 0.138 0.566
V: 0.735 0.362 0.066
V: 0.836 0.702 0.488
V: 0.836 0.798 0.988
P: 0.095 0.692 0.641
P: 0.095 0.808 0.141
P: 0.428 0.701 0.244
P: 0.428 0.799 0.744
P: 0.572 0.201 0.256
P: 0.572 0.299 0.756
P: 0.905 0.192 0.859
P: 0.905 0.308 0.359
O: 0.032 0.246 0.385
O: 0.032 0.254 0.885
O: 0.099 0.009 0.106
O: 0.099 0.491 0.606
O: 0.143 0.718 0.797
O: 0.143 0.782 0.297
O: 0.158 0.681 0.060
O: 0.158 0.819 0.560
O: 0.212 0.178 0.681
O: 0.212 0.322 0.181
O: 0.258 0.113 0.422
O: 0.258 0.387 0.922
O: 0.261 0.057 0.963
O: 0.261 0.443 0.463
O: 0.371 0.636 0.803
O: 0.371 0.864 0.303
O: 0.381 0.681 0.086
O: 0.381 0.819 0.586
O: 0.405 0.535 0.326
O: 0.405 0.965 0.826
O: 0.443 0.219 0.240
O: 0.443 0.281 0.740
O: 0.557 0.719 0.260
O: 0.557 0.781 0.760
O: 0.595 0.035 0.174
O: 0.595 0.465 0.674
O: 0.619 0.181 0.414
O: 0.619 0.319 0.914
O: 0.629 0.136 0.697
O: 0.629 0.364 0.197
O: 0.739 0.557 0.537
O: 0.739 0.943 0.037
O: 0.742 0.613 0.078
O: 0.742 0.887 0.578
O: 0.788 0.678 0.819
O: 0.788 0.822 0.319
O: 0.842 0.181 0.440
O: 0.842 0.319 0.940
O: 0.857 0.218 0.703
O: 0.857 0.282 0.203
O: 0.901 0.509 0.394
O: 0.901 0.991 0.894
O: 0.968 0.746 0.115
O: 0.968 0.754 0.615

***

This record from the Materials Project describes an optimized crystal structure of CaMn2CoO7. The functional is PBE+U.

* V: 1073 Å³ per cell
* calculated formation energy: -1.762 eV per atom
* M_tot: 8.00 μB per formula unit

Lattice parameters (Å, degrees): 6.795 14.504 11.099 90.00 101.18 90.00
Atoms (fractional coordinates):
Ca: 0.083 0.008 0.237
Ca: 0.083 0.492 0.737
Ca: 0.323 0.126 0.977
Ca: 0.323 0.374 0.477
Ca: 0.677 0.626 0.523
Ca: 0.677 0.874 0.023
Ca: 0.917 0.508 0.263
Ca: 0.917 0.992 0.763
Mn: 0.128 0.141 0.523
Mn: 0.128 0.359 0.023
Mn: 0.166 0.631 0.520
Mn: 0.166 0.869 0.020
Mn: 0.414 0.516 0.185
Mn: 0.414 0.984 0.685
Mn: 0.497 0.710 0.203
Mn: 0.497 0.790 0.703
Mn: 0.503 0.210 0.297
Mn: 0.503 0.290 0.797
Mn: 0.586 0.016 0.315
Mn: 0.586 0.484 0.815
Mn: 0.834 0.131 0.980
Mn: 0.834 0.369 0.480
Mn: 0.872 0.641 0.977
Mn: 0.872 0.859 0.477
Co: 0.007 0.746 0.247
Co: 0.007 0.754 0.747
Co: 0.370 0.675 0.925
Co: 0.370 0.825 0.425
Co: 0.630 0.175 0.575
Co: 0.630 0.325 0.075
Co: 0.993 0.246 0.253
Co: 0.993 0.254 0.753
O: 0.001 0.645 0.383
O: 0.001 0.855 0.883
O: 0.015 0.644 0.628
O: 0.015 0.856 0.128
O: 0.023 0.141 0.367
O: 0.023 0.359 0.867
O: 0.050 0.659 0.883
O: 0.050 0.841 0.383
O: 0.226 0.032 0.546
O: 0.226 0.468 0.046
O: 0.240 0.521 0.542
O: 0.240 0.979 0.042
O: 0.270 0.233 0.795
O: 0.270 0.267 0.295
O: 0.276 0.018 0.790
O: 0.276 0.482 0.290
O: 0.290 0.742 0.284
O: 0.290 0.758 0.784
O: 0.332 0.214 0.550
O: 0.332 0.286 0.050
O: 0.374 0.706 0.549
O: 0.374 0.794 0.049
O: 0.383 0.619 0.089
O: 0.383 0.881 0.589
O: 0.391 0.559 0.828
O: 0.391 0.941 0.328
O: 0.416 0.103 0.208
O: 0.416 0.397 0.708
O: 0.584 0.603 0.292
O: 0.584 0.897 0.792
O: 0.609 0.059 0.672
O: 0.609 0.441 0.172
O: 0.617 0.119 0.411
O: 0.617 0.381 0.911
O: 0.626 0.206 0.951
O: 0.626 0.294 0.451
O: 0.668 0.714 0.950
O: 0.668 0.786 0.450
O: 0.710 0.242 0.216
O: 0.710 0.258 0.716
O: 0.724 0.518 0.710
O: 0.724 0.982 0.210
O: 0.730 0.733 0.705
O: 0.730 0.767 0.205
O: 0.760 0.021 0.958
O: 0.760 0.479 0.458
O: 0.774 0.532 0.954
O: 0.774 0.968 0.454
O: 0.950 0.159 0.617
O: 0.950 0.341 0.117
O: 0.977 0.641 0.133
O: 0.977 0.859 0.633
O: 0.985 0.144 0.872
O: 0.985 0.356 0.372
O: 0.999 0.145 0.117
O: 0.999 0.355 0.617